Computed, not measured: an optimized crystal structure of Na3HfScSi2SO12 at the PBE-GGA level of DFT.

Unit cell a=9.1433 b=9.1433 c=22.7171 alpha=89.69 beta=90.31 gamma=120.08
Atoms (fractional coordinates):
Na 0.9958 0.6455 0.2442
Na 0.6709 0.3636 0.8280
Na 0.6292 0.9989 0.2425
Na 0.3030 0.6625 0.6613
Na 0.0212 0.3375 0.0775
Na 0.3375 0.6970 0.1613
Na 0.0042 0.0303 0.4946
Na 0.3291 0.3121 0.9109
Na 0.6364 0.3291 0.3280
Na 0.6678 0.7041 0.0758
Na 0.2959 0.3322 0.5758
Na 0.0011 0.3708 0.7425
Na 0.3345 0.0375 0.4091
Na 0.9697 0.9958 0.9946
Na 0.3545 0.0042 0.7442
Na 0.6625 0.9788 0.5775
Na 0.6879 0.6709 0.4109
Na 0.9625 0.6655 0.9091
O 0.2033 0.1768 0.8096
O 0.5156 0.3695 0.4221
O 0.5077 0.8705 0.3601
O 0.8370 0.3118 0.5309
O 0.6402 0.1445 0.4220
O 0.5036 0.6451 0.8642
O 0.5367 0.8435 0.4763
O 0.9832 0.1873 0.3004
O 0.2101 0.0189 0.3136
O 0.1978 0.1816 0.0889
O 0.8645 0.5149 0.4223
O 0.0268 0.2204 0.1942
O 0.6935 0.5537 0.5275
O 0.8700 0.5101 0.1430
O 0.8184 0.8022 0.5889
O 0.1129 0.6398 0.3609
O 0.7961 0.8256 0.1935
O 0.1744 0.2039 0.6935
O 0.8555 0.3598 0.9220
O 0.2972 0.8178 0.2554
O 0.1778 0.1775 0.4140
O 0.1558 0.4889 0.5806
O 0.3612 0.8524 0.5786
O 0.3166 0.8539 0.9671
O 0.1888 0.0265 0.5887
O 0.6305 0.4844 0.9221
O 0.4809 0.3054 0.7453
O 0.4899 0.1300 0.6430
O 0.3549 0.4964 0.3642
O 0.1461 0.6834 0.4671
O 0.6478 0.1232 0.1469
O 0.6882 0.1630 0.0309
O 0.8444 0.5108 0.7473
O 0.9811 0.7899 0.8136
O 0.3069 0.4778 0.7553
O 0.8768 0.3522 0.6469
O 0.5111 0.8442 0.0806
O 0.3570 0.4843 0.0797
O 0.8225 0.8222 0.9140
O 0.1703 0.9785 0.1976
O 0.0215 0.8297 0.6976
O 0.3602 0.8871 0.8609
O 0.7796 0.9732 0.6942
O 0.9735 0.8112 0.0887
O 0.8411 0.5372 0.0268
O 0.6499 0.5206 0.6338
O 0.1476 0.6388 0.0786
O 0.0237 0.8176 0.4131
O 0.3144 0.4566 0.4802
O 0.1565 0.4633 0.9763
O 0.4794 0.3501 0.1338
O 0.1824 0.9763 0.9131
O 0.5311 0.8482 0.7556
O 0.8489 0.0361 0.0888
O 0.1518 0.4689 0.2556
O 0.6904 0.1510 0.7464
O 0.9639 0.1511 0.5888
O 0.4463 0.3065 0.0275
O 0.6946 0.5191 0.2453
O 0.4851 0.1355 0.9223
O 0.1295 0.4923 0.8601
O 0.5157 0.6430 0.5797
O 0.8490 0.3096 0.2464
O 0.0279 0.1857 0.9120
O 0.4892 0.1556 0.2473
O 0.8232 0.7967 0.3096
O 0.8143 0.9721 0.4120
O 0.1822 0.7028 0.7554
O 0.4628 0.1589 0.5268
O 0.5434 0.6856 0.9802
O 0.5222 0.6931 0.2553
O 0.8127 0.0168 0.8004
Sc 0.3391 0.6728 0.0189
Sc 0.0058 0.0061 0.3522
Sc 0.6725 0.3394 0.6856
Sc 0.6606 0.3275 0.1856
Sc 0.3272 0.6609 0.5189
Sc 0.9939 0.9942 0.8522
Hf 0.6629 0.3170 0.4805
Hf 0.9962 0.9836 0.1472
Hf 0.0164 0.0038 0.6472
Hf 0.3295 0.6503 0.8138
Hf 0.3497 0.6705 0.3138
Hf 0.6830 0.3371 0.9805
S 0.0038 0.2941 0.2492
S 0.3726 0.3295 0.0826
S 0.3372 0.9607 0.9159
S 0.6705 0.6274 0.5826
S 0.0393 0.6628 0.4159
S 0.7059 0.9962 0.7492
Si 0.6288 0.6670 0.9204
Si 0.3330 0.3712 0.4204
Si 0.2979 0.2920 0.7522
Si 0.3746 0.0354 0.5855
Si 0.7080 0.7021 0.2522
Si 0.6663 0.0378 0.0871
Si 0.0413 0.3687 0.9188
Si 0.9622 0.3337 0.5871
Si 0.9997 0.7045 0.7537
Si 0.9646 0.6254 0.0855
Si 0.6313 0.9587 0.4188
Si 0.2955 0.0003 0.2537

Results
As for the calculated volume: 1643.3 Å³ per cell. For the energy of formation, the calculation gives -2.9617 eV per atom.

***

Computed, not measured: an optimized crystal structure of Na8Hf2Sc2Si5SO24 at the PBE-GGA level of DFT.

Unit cell a=9.2304 b=9.2456 c=22.5344 alpha=90.14 beta=90.03 gamma=119.94
Atoms (fractional coordinates):
Na 0.0000 0.0000 0.0000
Na 0.0000 0.3667 0.5000
Na 0.0137 0.6903 0.5823
Na 0.0146 0.6989 0.0826
Na 0.0214 0.3279 0.8324
Na 0.0413 0.0847 0.3301
Na 0.0502 0.3876 0.1665
Na 0.0506 0.0413 0.6657
Na 0.3221 0.0489 0.1692
Na 0.3284 0.6495 0.6689
Na 0.3451 0.3424 0.2499
Na 0.3577 0.3780 0.7509
Na 0.3596 0.7297 0.9965
Na 0.3643 0.0125 0.4965
Na 0.3796 0.6966 0.3385
Na 0.3990 0.0656 0.8371
Na 0.6499 0.3180 0.3376
Na 0.6564 0.7036 0.8329
Na 0.6890 0.0436 0.4158
Na 0.6903 0.0308 0.9127
Na 0.6943 0.4084 0.6606
Na 0.7026 0.6605 0.1580
Na 0.7184 0.7211 0.5036
Na 0.7232 0.3714 0.0001
Hf 0.0166 0.6918 0.7342
Hf 0.0250 0.6977 0.9355
Hf 0.0342 0.6980 0.4365
Hf 0.3603 0.3668 0.8986
Hf 0.7046 0.0369 0.5639
Hf 0.7062 0.0440 0.0627
Sc 0.0311 0.7022 0.2317
Sc 0.3514 0.3588 0.4018
Sc 0.3573 0.3570 0.0992
Sc 0.3584 0.3734 0.5979
Sc 0.7018 0.0552 0.2682
Sc 0.7039 0.0300 0.7713
Si 0.0307 0.4062 0.3320
Si 0.0306 0.9945 0.8335
Si 0.0656 0.0695 0.5009
Si 0.0700 0.3705 0.0016
Si 0.3207 0.7004 0.8332
Si 0.3241 0.9958 0.3323
Si 0.3594 0.0690 0.0006
Si 0.3633 0.6644 0.4996
Si 0.6525 0.6606 0.0020
Si 0.6534 0.3666 0.5002
Si 0.6917 0.3337 0.1674
Si 0.6926 0.7356 0.6678
Si 0.7270 0.4015 0.8343
Si 0.9886 0.0320 0.1687
Si 0.9915 0.3312 0.6685
S 0.4005 0.0321 0.6674
S 0.4044 0.7439 0.1676
S 0.7334 0.6991 0.3330
O 0.0010 0.4982 0.3902
O 0.0028 0.8755 0.8909
O 0.0087 0.8647 0.1700
O 0.0117 0.5205 0.6706
O 0.0351 0.8793 0.4928
O 0.0440 0.5327 0.9951
O 0.0528 0.5218 0.2742
O 0.0591 0.9051 0.7746
O 0.1449 0.1878 0.4427
O 0.1557 0.3366 0.9433
O 0.1712 0.2046 0.1650
O 0.1756 0.3451 0.6636
O 0.1832 0.1487 0.5594
O 0.1841 0.4036 0.0603
O 0.1935 0.8829 0.9940
O 0.1941 0.6837 0.4940
O 0.1989 0.1792 0.8379
O 0.2015 0.6717 0.7745
O 0.2018 0.3936 0.3366
O 0.2053 0.9078 0.2742
O 0.2253 0.8783 0.3906
O 0.2284 0.7252 0.8913
O 0.2315 0.8775 0.6701
O 0.2357 0.7289 0.1702
O 0.3233 0.1503 0.0590
O 0.3247 0.5462 0.5580
O 0.3347 0.5300 0.8379
O 0.3482 0.1840 0.3370
O 0.3812 0.1805 0.6626
O 0.3856 0.5758 0.1630
O 0.3946 0.1912 0.9427
O 0.4018 0.5848 0.4413
O 0.4821 0.0104 0.6135
O 0.4867 0.8467 0.1139
O 0.5013 0.0521 0.7207
O 0.5041 0.8681 0.8293
O 0.5052 0.0001 0.3307
O 0.5047 0.8240 0.2213
O 0.5233 0.8544 0.5084
O 0.5251 0.0469 0.0069
O 0.5270 0.3568 0.1637
O 0.5313 0.5462 0.6630
O 0.5336 0.5722 0.9433
O 0.5376 0.3330 0.4415
O 0.5450 0.3913 0.8381
O 0.5671 0.5471 0.3377
O 0.5703 0.5450 0.0602
O 0.5716 0.3999 0.5592
O 0.6598 0.2155 0.2259
O 0.6619 0.8228 0.7256
O 0.6683 0.8461 0.0068
O 0.6735 0.1991 0.5070
O 0.7056 0.2167 0.8284
O 0.7144 0.8489 0.3291
O 0.7157 0.2347 0.1099
O 0.7175 0.8555 0.6097
O 0.8151 0.6782 0.2799
O 0.8173 0.5233 0.7759
O 0.8378 0.7227 0.3870
O 0.8411 0.5339 0.4937
O 0.8407 0.6836 0.9952
O 0.8477 0.4924 0.8916
O 0.8624 0.2184 0.3315
O 0.8628 0.0120 0.8308
O 0.8648 0.5160 0.1701
O 0.8683 0.0051 0.1101
O 0.8701 0.2418 0.6099
O 0.8696 0.7284 0.6702
O 0.8775 0.0506 0.5068
O 0.8824 0.2001 0.0052
O 0.8939 0.0522 0.2270
O 0.8983 0.2161 0.7260

Results
As for the calculated volume: 1666.4 Å³ per cell. For the energy of formation, the calculation gives -3.0291 eV per atom.